[1]
A plane-wave DFT calculation with r2SCAN was carried out for a relaxed SrGa2Au2 crystal.

Results
As for the formation energy: -0.6441 eV per atom. The space group is No. 129. The value obtained for the total energy is -28.484 eV/atom.

POSCAR file:
```
SrGa2Au2
1.0
4.5194 0.0000 0.0000
0.0000 4.5194 0.0000
0.0000 0.0000 10.4826
Sr Ga Au
2 4 4
direct
0.7500 0.7500 0.7497
0.2500 0.2500 0.2503
0.7500 0.7500 0.1257
0.7500 0.2500 0.5000
0.2500 0.2500 0.8743
0.2500 0.7500 0.5000
0.2500 0.2500 0.6284
0.2500 0.7500 0.0000
0.7500 0.2500 0.0000
0.7500 0.7500 0.3716
```

---

[2]
A plane-wave DFT calculation with r2SCAN was carried out for a relaxed PrHo3 crystal.

Results
As for the formation energy: 0.0524 eV per atom. The space group is No. 139. As for the offset from the most stable computed form: 0.039 eV per atom. The value obtained for the total energy is -31.960 eV/atom.

POSCAR file:
```
PrHo3
1.0
-2.5438 2.5438 5.0028
2.5438 -2.5438 5.0028
2.5438 2.5438 -5.0028
Pr Ho
1 3
direct
0.0000 0.0000 0.0000
0.7500 0.2500 0.5000
0.2500 0.7500 0.5000
0.5000 0.5000 0.0000
```

---

[3]
A plane-wave DFT calculation with r2SCAN was carried out for a relaxed USeS crystal.

Results
As for the formation energy: -1.7121 eV per atom. The space group is No. 62. The value obtained for the total energy is -35.808 eV/atom.

POSCAR file:
```
USeS
1.0
-0.2201 -4.1329 -0.2793
6.0517 -0.0374 -4.2153
4.9451 -0.7436 7.1056
U Se S
4 4 4
direct
0.2500 0.7286 0.3741
0.7500 0.2714 0.6259
0.2500 0.2286 0.1259
0.7500 0.7714 0.8741
0.7500 0.5330 0.1621
0.2500 0.4670 0.8379
0.7500 0.0331 0.3379
0.2500 0.9669 0.6621
0.2500 0.3581 0.4288
0.7500 0.6419 0.5712
0.2500 0.8581 0.0711
0.7500 0.1419 0.9288
```

---

[4]
A plane-wave DFT calculation with r2SCAN was carried out for a relaxed Pr7BP2O17 crystal.

Results
As for the formation energy: -3.4144 eV per atom. The space group is No. 14. The value obtained for the total energy is -15.737 eV/atom.

POSCAR file:
```
Pr7BP2O17
1.0
-6.5102 7.6569 -14.6372
-5.6271 -4.0461 0.3862
-10.0266 5.3655 7.2663
Pr B P O
28 4 8 68
direct
0.2744 0.7975 0.1786
0.7744 0.2025 0.3214
0.4830 0.7996 0.2113
0.7776 0.7143 0.5969
0.1050 0.3078 0.6978
0.6050 0.6922 0.8022
0.8673 0.2193 0.5709
0.7224 0.7143 0.0969
0.7256 0.2025 0.8214
0.8950 0.6922 0.3022
0.3673 0.7807 0.9291
0.6327 0.2193 0.0709
0.4446 0.2814 0.4924
0.5554 0.7186 0.5076
0.9830 0.2004 0.2887
0.1539 0.8130 0.9274
0.3461 0.8130 0.4274
0.2256 0.7975 0.6786
0.0554 0.2814 0.9924
0.2776 0.2857 0.9031
0.9446 0.7186 0.0076
0.8461 0.1870 0.0726
0.0170 0.7996 0.7113
0.6539 0.1870 0.5726
0.2224 0.2857 0.4031
0.5170 0.2004 0.7887
0.1327 0.7807 0.4291
0.3950 0.3078 0.1978
0.0675 0.2483 0.5011
0.4325 0.2483 0.0011
0.9325 0.7517 0.4989
0.5675 0.7517 0.9989
0.6976 0.7105 0.3374
0.1976 0.2895 0.1626
0.4386 0.7789 0.6825
0.9386 0.2211 0.8175
0.5614 0.2211 0.3175
0.8024 0.7105 0.8374
0.3024 0.2895 0.6626
0.0614 0.7789 0.1825
0.0129 0.1943 0.5807
0.7542 0.3663 0.1249
0.5417 0.3655 0.5973
0.7458 0.3663 0.6249
0.2433 0.4226 0.6927
0.3643 0.4322 0.5919
0.8911 0.3189 0.3757
0.7669 0.0902 0.5093
0.3799 0.4012 0.9991
0.5051 0.4057 0.2758
0.7433 0.5774 0.8073
0.1673 0.1307 0.2709
0.5129 0.8057 0.9193
0.2542 0.6337 0.3751
0.2567 0.4226 0.1927
0.8643 0.5678 0.9081
0.8677 0.0483 0.2600
0.0802 0.1552 0.4303
0.9871 0.8057 0.4193
0.7345 0.8258 0.4013
0.1323 0.9517 0.7400
0.9949 0.4057 0.7758
0.1201 0.4012 0.4991
0.2655 0.1742 0.5987
0.9583 0.3655 0.0973
0.3911 0.6811 0.1243
0.1447 0.2029 0.8804
0.3553 0.2029 0.3804
0.2345 0.1742 0.0987
0.4198 0.1552 0.9303
0.1372 0.7148 0.2374
0.4871 0.1943 0.0807
0.8799 0.5988 0.5009
0.5279 0.0339 0.2996
0.1357 0.4322 0.0919
0.0051 0.5943 0.2242
0.8628 0.2852 0.7626
0.4721 0.9661 0.7004
0.0279 0.9661 0.2004
0.3677 0.9517 0.2400
0.9721 0.0339 0.7996
0.6372 0.2852 0.2626
0.4350 0.8545 0.5579
0.6447 0.7971 0.6196
0.5802 0.8448 0.0697
0.3327 0.1307 0.7709
0.8553 0.7971 0.1196
0.7331 0.0902 0.0093
0.9198 0.8448 0.5697
0.9350 0.1455 0.9421
0.7567 0.5774 0.3073
0.6201 0.5988 0.0009
0.4949 0.5943 0.7242
0.0650 0.8545 0.0579
0.7655 0.8258 0.9013
0.6673 0.8693 0.2291
0.1089 0.6811 0.6243
0.6089 0.3189 0.8757
0.6357 0.5678 0.4081
0.2331 0.9098 0.4907
0.6323 0.0483 0.7600
0.0417 0.6345 0.9027
0.2669 0.9098 0.9907
0.4583 0.6345 0.4027
0.2458 0.6337 0.8751
0.8327 0.8693 0.7291
0.3628 0.7148 0.7374
0.5650 0.1455 0.4421
```

---

[5]
A plane-wave DFT calculation with r2SCAN was carried out for a relaxed Li5Mg crystal.

Results
As for the formation energy: -0.0145 eV per atom. The space group is No. 5. As for the offset from the most stable computed form: 0.000 eV per atom. The value obtained for the total energy is -2.698 eV/atom.

POSCAR file:
```
Li5Mg
1.0
-4.5763 2.6421 0.0000
0.0007 -5.2830 -0.0123
-1.5190 2.6533 4.9935
Li Mg
5 1
direct
0.9968 0.0000 0.0000
0.6699 0.3365 0.9997
0.3331 0.6635 0.0003
0.4996 0.8336 0.5012
0.1672 0.1664 0.4988
0.8333 0.5000 0.5000
```

---

[6]
A plane-wave DFT calculation with r2SCAN was carried out for a relaxed CaHo2Se4 crystal.

Results
As for the formation energy: -2.2101 eV per atom. The space group is No. 10. The value obtained for the total energy is -20.788 eV/atom.

POSCAR file:
```
CaHo2Se4
1.0
-1.2369 -3.8836 -0.5089
5.6943 -1.3077 -3.8603
5.2031 -2.2358 4.4160
Ca Ho Se
1 2 4
direct
0.5000 0.0000 0.5000
0.0000 0.0000 0.0000
0.5000 0.5000 0.0000
0.5000 0.2402 0.7700
0.0000 0.2588 0.2403
0.0000 0.7412 0.7597
0.5000 0.7598 0.2300
```

---

[7]
A plane-wave DFT calculation with r2SCAN was carried out for a relaxed Tb4InIr crystal.

Results
As for the formation energy: -0.6882 eV per atom. The space group is No. 216. The value obtained for the total energy is -33.995 eV/atom.

POSCAR file:
```
Tb4InIr
1.0
-2.3283 -0.6099 9.3640
-4.9361 7.1567 4.2300
-9.2079 -1.3646 2.6128
Tb In Ir
16 4 4
direct
0.0986 0.7041 0.0986
0.9411 0.9411 0.5589
0.9411 0.5589 0.9411
0.3097 0.6903 0.3097
0.9411 0.5589 0.5589
0.3097 0.3097 0.6903
0.0986 0.0986 0.0986
0.5589 0.5589 0.9411
0.0986 0.0986 0.7041
0.6903 0.3097 0.6903
0.6903 0.6903 0.3097
0.6903 0.3097 0.3097
0.3097 0.6903 0.6903
0.5589 0.9411 0.5589
0.7041 0.0986 0.0986
0.5589 0.9411 0.9411
0.3328 0.3328 0.3327
0.0017 0.3328 0.3328
0.3328 0.0017 0.3328
0.3328 0.3327 0.0017
0.8910 0.8910 0.8910
0.8910 0.8910 0.3270
0.3270 0.8910 0.8910
0.8910 0.3270 0.8910
```

---

[8]
A plane-wave DFT calculation with r2SCAN was carried out for a relaxed V4OF11 crystal.

Results
As for the formation energy: -3.1767 eV per atom. The space group is No. 1. As for the offset from the most stable computed form: 0.001 eV per atom. The value obtained for the total energy is -9.222 eV/atom.

POSCAR file:
```
V4OF11
1.0
-4.0015 -0.0991 -3.0945
4.7855 1.0239 -2.0986
3.8553 -16.3327 -0.4596
V O F
8 2 22
direct
0.7464 0.3910 0.1225
0.7536 0.8679 0.6243
0.4990 0.7590 0.2503
0.4990 0.2430 0.7503
0.2469 0.1379 0.3809
0.2443 0.6177 0.8760
0.9753 0.9767 0.0040
0.0128 0.4854 0.4981
0.7882 0.6999 0.0605
0.1731 0.2921 0.4603
0.3209 0.1722 0.0910
0.7520 0.1753 0.5618
0.7328 0.0616 0.1858
0.3202 0.9818 0.2876
0.3118 0.6419 0.5921
0.3117 0.4554 0.7842
0.8150 0.2231 0.0331
0.1783 0.5906 0.1601
0.1948 0.0945 0.6567
0.2562 0.4432 0.3106
0.7540 0.5646 0.6877
0.8171 0.9106 0.3404
0.8270 0.7075 0.5341
0.8027 0.3939 0.8435
0.1983 0.7983 0.9667
0.6839 0.3567 0.4080
0.6843 0.5352 0.2158
0.6842 0.0284 0.7157
0.2433 0.9208 0.8115
0.2316 0.3078 0.9404
0.2534 0.8234 0.4392
0.6879 0.8426 0.9066
```

---

[9]
A plane-wave DFT calculation with r2SCAN was carried out for a relaxed PCl3 crystal.

Results
As for the formation energy: -0.7303 eV per atom. The space group is No. 62. The value obtained for the total energy is -7.595 eV/atom.

POSCAR file:
```
PCl3
1.0
6.2219 0.0000 0.0000
0.0000 8.1788 0.0000
0.0000 0.0000 9.5212
P Cl
4 12
direct
0.9262 0.9807 0.7500
0.4262 0.5193 0.2500
0.5738 0.4807 0.7500
0.0738 0.0193 0.2500
0.7410 0.9031 0.9157
0.2410 0.5969 0.0843
0.7590 0.4031 0.5843
0.2590 0.0969 0.4157
0.8390 0.1957 0.2500
0.3390 0.3043 0.7500
0.6610 0.6957 0.2500
0.1610 0.8043 0.7500
0.7410 0.9031 0.5843
0.2410 0.5969 0.4157
0.7590 0.4031 0.9157
0.2590 0.0969 0.0843
```

---

[10]
A plane-wave DFT calculation with r2SCAN was carried out for a relaxed Er2Ti3Si4 crystal.

Results
As for the formation energy: -0.8608 eV per atom. The space group is No. 92. The value obtained for the total energy is -16.612 eV/atom.

POSCAR file:
```
Er2Ti3Si4
1.0
7.0113 0.0000 0.0000
0.0000 7.0113 0.0001
-0.0001 0.0001 12.8641
Er Ti Si
8 12 16
direct
0.3411 0.0006 0.4661
0.4994 0.8411 0.7161
0.5006 0.1589 0.2160
0.8411 0.4994 0.2839
0.1589 0.5006 0.7840
0.6589 0.9994 0.9661
0.0006 0.3411 0.5339
0.9994 0.6589 0.0339
0.3279 0.3279 0.0000
0.1721 0.8279 0.2500
0.8279 0.1721 0.7500
0.6721 0.6721 0.5000
0.1519 0.0079 0.8760
0.4921 0.6520 0.1259
0.5079 0.3480 0.6259
0.6520 0.4921 0.8741
0.3480 0.5079 0.3740
0.8481 0.9921 0.3759
0.0079 0.1519 0.1241
0.9921 0.8480 0.6241
0.2042 0.1314 0.6830
0.3686 0.7042 0.9330
0.6314 0.2958 0.4330
0.7042 0.3686 0.0670
0.2958 0.6314 0.5670
0.7958 0.8686 0.1830
0.1314 0.2042 0.3170
0.8686 0.7958 0.8170
0.2913 0.9522 0.0642
0.5478 0.7913 0.3141
0.4522 0.2087 0.8142
0.7913 0.5478 0.6859
0.2087 0.4522 0.1858
0.7087 0.0478 0.5642
0.9522 0.2913 0.9359
0.0478 0.7087 0.4358
```

---

[11]
A plane-wave DFT calculation with r2SCAN was carried out for a relaxed Mo3S7Cl4 crystal.

Results
As for the formation energy: -0.8133 eV per atom. The space group is No. 14. The value obtained for the total energy is -12.175 eV/atom.

POSCAR file:
```
Mo3S7Cl4
1.0
-2.2033 -9.8685 -6.8640
-5.1663 -3.8099 7.1359
-13.9631 2.2232 1.2858
Mo S Cl
12 28 16
direct
0.7479 0.1297 0.2892
0.3795 0.6341 0.2195
0.1591 0.5990 0.2241
0.6591 0.4010 0.2759
0.8795 0.3659 0.2805
0.1205 0.6341 0.7195
0.3409 0.5990 0.7241
0.2479 0.8703 0.2108
0.6205 0.3659 0.7805
0.8409 0.4010 0.7759
0.2521 0.8703 0.7108
0.7521 0.1297 0.7892
0.2354 0.5945 0.8636
0.0471 0.8180 0.2223
0.6192 0.0808 0.9274
0.2784 0.5879 0.0946
0.0482 0.8829 0.7120
0.4529 0.8180 0.7223
0.8808 0.0808 0.4274
0.7120 0.6183 0.7514
0.5482 0.1171 0.7880
0.6219 0.1223 0.4211
0.2646 0.5945 0.3636
0.2880 0.3817 0.2486
0.1219 0.8777 0.0789
0.7354 0.4055 0.6364
0.3808 0.9192 0.0726
0.2216 0.5879 0.5946
0.8781 0.1223 0.9211
0.1192 0.9192 0.5726
0.7216 0.4121 0.9054
0.5471 0.1820 0.2777
0.7784 0.4121 0.4054
0.9518 0.1171 0.2880
0.7880 0.6183 0.2514
0.4518 0.8829 0.2120
0.3781 0.8777 0.5789
0.9529 0.1820 0.7777
0.7646 0.4055 0.1364
0.2120 0.3817 0.7486
0.9530 0.6142 0.6176
0.7609 0.0776 0.6356
0.5470 0.6142 0.1176
0.7765 0.8303 0.8984
0.7235 0.8303 0.3984
0.9904 0.4643 0.8738
0.2765 0.1697 0.6016
0.5096 0.4643 0.3738
0.0096 0.5357 0.1262
0.0470 0.3858 0.3824
0.7391 0.0776 0.1356
0.2609 0.9224 0.8644
0.2235 0.1697 0.1016
0.4904 0.5357 0.6262
0.4530 0.3858 0.8824
0.2391 0.9224 0.3644
```

---

[12]
A plane-wave DFT calculation with r2SCAN was carried out for a relaxed TaB2 crystal.

Results
As for the formation energy: -0.6626 eV per atom. The space group is No. 191. The value obtained for the total energy is -21.757 eV/atom.

POSCAR file:
```
TaB2
1.0
3.0943 0.0000 0.0000
-1.5472 2.6797 0.0000
0.0000 0.0000 3.3052
Ta B
1 2
direct
0.0000 0.0000 0.0000
0.6667 0.3333 0.5000
0.3333 0.6667 0.5000
```